1.
A plane-wave DFT calculation with PBE was carried out for a relaxed structure of Er6Al43V4.

The structure in CIF format:
```
data_Er6Al43V4
_chemical_formula_sum 'Er12 Al86 V8'
_space_group_name_H-M_alt 'P 63/m c m'
_space_group_IT_number 193
_space_group_name_Hall '-P 6c 2'
_cell_length_a 10.9932
_cell_length_b 10.9932
_cell_length_c 17.5592
_cell_angle_alpha 90.00
_cell_angle_beta 90.00
_cell_angle_gamma 120.00
loop_
_atom_site_label
_atom_site_fract_x
_atom_site_fract_y
_atom_site_fract_z
Er1 0.0000 0.4695 0.0958
Al1 0.0000 0.1454 0.7500
Al2 0.0000 0.1557 0.1156
Al3 0.0000 0.2531 0.5299
Al4 0.1461 0.5482 0.2500
Al5 0.1576 0.3919 0.6654
Al6 0.2469 0.4938 0.0000
Al7 0.3333 0.6667 0.1274
V1 0.0000 0.0000 0.0000
V2 0.0000 0.2698 0.2500
```

2.
A plane-wave DFT calculation with PBE was carried out for a relaxed structure of BiB3O6.

The structure in CIF format:
```
data_BiB3O6
_chemical_formula_sum 'Bi4 B12 O24'
_space_group_name_H-M_alt 'P c a 21'
_space_group_IT_number 29
_space_group_name_Hall 'P 2c -2ac'
_cell_length_a 18.6156
_cell_length_b 4.5049
_cell_length_c 4.3248
_cell_angle_alpha 90.00
_cell_angle_beta 90.00
_cell_angle_gamma 90.00
loop_
_atom_site_label
_atom_site_fract_x
_atom_site_fract_y
_atom_site_fract_z
Bi1 0.1624 0.1567 0.0000
B1 0.0015 0.8249 0.0818
B2 0.0723 0.6721 0.5534
B3 0.2128 0.6359 0.5289
O1 0.0183 0.8729 0.7274
O2 0.0602 0.3622 0.6279
O3 0.0678 0.7381 0.2241
O4 0.1458 0.7564 0.6614
O5 0.2116 0.3113 0.5333
O6 0.2246 0.7480 0.2112
```

3.
A plane-wave DFT calculation with PBE was carried out for a relaxed structure of K5Nb3O3F14.

The structure in CIF format:
```
data_K5Nb3O3F14
_chemical_formula_sum 'K20 Nb12 O12 F56'
_space_group_name_H-M_alt 'P m n 21'
_space_group_IT_number 31
_space_group_name_Hall 'P 2ac -2'
_cell_length_a 20.4109
_cell_length_b 8.0325
_cell_length_c 11.6244
_cell_angle_alpha 90.00
_cell_angle_beta 90.00
_cell_angle_gamma 90.00
loop_
_atom_site_label
_atom_site_fract_x
_atom_site_fract_y
_atom_site_fract_z
K1 0.0000 0.0483 0.0000
K2 0.0000 0.5562 0.4930
K3 0.1072 0.5455 0.8519
K4 0.1488 0.9718 0.6049
K5 0.1587 0.7619 0.2447
K6 0.1729 0.2653 0.2100
Nb1 0.0000 0.0336 0.3359
Nb2 0.0000 0.5747 0.1235
Nb3 0.1940 0.0499 0.9185
Nb4 0.1987 0.4962 0.5261
O1 0.0000 0.2327 0.3969
O2 0.0000 0.4218 0.0141
O3 0.1449 0.8918 0.8579
O4 0.1573 0.3089 0.5526
F1 0.0000 0.5892 0.7218
F2 0.0000 0.7700 0.2610
F3 0.0659 0.7267 0.0533
F4 0.0674 0.0634 0.2125
F5 0.0681 0.9311 0.4328
F6 0.0715 0.4859 0.2205
F7 0.1219 0.1917 0.9789
F8 0.1253 0.6189 0.4539
F9 0.1796 0.6201 0.6699
F10 0.1969 0.1953 0.7824
F11 0.2086 0.9654 0.0779
F12 0.2118 0.5513 0.0851
F13 0.2180 0.0321 0.3705
F14 0.2307 0.4568 0.3677
F15 0.2452 0.7507 0.4956
```

4.
A plane-wave DFT calculation with PBE was carried out for a relaxed structure of Si2Ru.

The structure in CIF format:
```
data_Si2Ru
_chemical_formula_sum 'Si32 Ru16'
_space_group_name_H-M_alt 'C m c e'
_space_group_IT_number 64
_space_group_name_Hall '-C 2ac 2'
_cell_length_a 10.1956
_cell_length_b 8.1300
_cell_length_c 8.2327
_cell_angle_alpha 90.00
_cell_angle_beta 90.00
_cell_angle_gamma 90.00
loop_
_atom_site_label
_atom_site_fract_x
_atom_site_fract_y
_atom_site_fract_z
Si1 0.1268 0.0509 0.2247
Si2 0.1276 0.2228 0.9442
Ru1 0.0000 0.1885 0.6829
Ru2 0.2148 0.0000 0.5000
```

5.
A plane-wave DFT calculation with PBE was carried out for a relaxed structure of Si16O32F.

The structure in CIF format:
```
data_Si16O32F
_chemical_formula_sum 'Si32 O64 F2'
_space_group_name_H-M_alt 'P 1 21 1'
_space_group_IT_number 4
_space_group_name_Hall 'P 2yb'
_cell_length_a 7.5885
_cell_length_b 18.3494
_cell_length_c 14.2245
_cell_angle_alpha 90.00
_cell_angle_beta 99.37
_cell_angle_gamma 90.00
loop_
_atom_site_label
_atom_site_fract_x
_atom_site_fract_y
_atom_site_fract_z
Si1 0.0542 0.0000 0.1601
Si2 0.0562 0.3136 0.1347
Si3 0.0560 0.8279 0.6601
Si4 0.0605 0.5140 0.6356
Si5 0.2232 0.1562 0.1740
Si6 0.2227 0.6715 0.6741
Si7 0.3202 0.3246 0.4569
Si8 0.3207 0.0132 0.4762
Si9 0.3214 0.5010 0.9596
Si10 0.3208 0.8138 0.9801
Si11 0.3963 0.1664 0.3930
Si12 0.3966 0.6603 0.8935
Si13 0.4147 0.9098 0.1522
Si14 0.4159 0.9193 0.6520
Si15 0.4172 0.4187 0.6310
Si16 0.4261 0.3940 0.1455
O1 0.0009 0.9889 0.2649
O2 0.0029 0.8380 0.7656
O3 0.1033 0.0844 0.1422
O4 0.1035 0.7432 0.6424
O5 0.1051 0.9996 0.4504
O6 0.1055 0.6003 0.6373
O7 0.1068 0.2276 0.1364
O8 0.1065 0.8255 0.9534
O9 0.1149 0.3504 0.4192
O10 0.1162 0.4770 0.9200
O11 0.2163 0.3665 0.1120
O12 0.2213 0.9473 0.1504
O13 0.2225 0.8808 0.6509
O14 0.2376 0.4683 0.6217
O15 0.2705 0.1571 0.2894
O16 0.2699 0.6685 0.7904
O17 0.3379 0.2373 0.4478
O18 0.3400 0.5890 0.9504
O19 0.3713 0.0975 0.4607
O20 0.3707 0.3448 0.5693
O21 0.3735 0.4730 0.0706
O22 0.3739 0.7303 0.9608
O23 0.3848 0.9931 0.5876
O24 0.3867 0.8337 0.0920
O25 0.3981 0.1521 0.1222
O26 0.3980 0.6732 0.6231
O27 0.4153 0.8726 0.9178
O28 0.4232 0.9630 0.4071
O29 0.4561 0.3650 0.3971
O30 0.4569 0.4643 0.8962
O31 0.4874 0.3932 0.7403
O32 0.4903 0.4445 0.2414
F1 0.4694 0.3133 0.2082
```

6.
A plane-wave DFT calculation with PBE was carried out for a relaxed structure of PrAl4.

The structure in CIF format:
```
data_PrAl4
_chemical_formula_sum 'Pr2 Al8'
_space_group_name_H-M_alt 'I 4/m m m'
_space_group_IT_number 139
_space_group_name_Hall '-I 4 2'
_cell_length_a 4.2953
_cell_length_b 4.2953
_cell_length_c 11.3554
_cell_angle_alpha 90.00
_cell_angle_beta 90.00
_cell_angle_gamma 90.00
loop_
_atom_site_label
_atom_site_fract_x
_atom_site_fract_y
_atom_site_fract_z
Pr1 0.0000 0.0000 0.0000
Al1 0.0000 0.0000 0.3880
Al2 0.0000 0.5000 0.2500
```

| no. | ΔE_f (eV per atom) |
| --- | --- |
| 1 | -0.308 |
| 2 | -2.561 |
| 3 | -3.277 |
| 4 | -0.544 |
| 5 | -3.190 |
| 6 | -0.315 |